No. 1
Computed, not measured: a relaxed Mg14NbSiO16 crystal at the PBE-GGA level of DFT.

Cell: 8.6633 8.6633 4.3079 Å, 90.00 90.00 90.00°
Sites, in units of the cell vectors:
Mg (0.0000, 0.2524, 0.0000)
Mg (0.0000, 0.5000, 0.5000)
Mg (0.0000, 0.7476, 0.0000)
Mg (0.2467, 0.5000, 0.0000)
Mg (0.2497, 0.2497, 0.5000)
Mg (0.2497, 0.7503, 0.5000)
Mg (0.2524, 0.0000, 0.0000)
Mg (0.5000, 0.0000, 0.5000)
Mg (0.5000, 0.2467, 0.0000)
Mg (0.5000, 0.7533, 0.0000)
Mg (0.7476, 0.0000, 0.0000)
Mg (0.7503, 0.2497, 0.5000)
Mg (0.7503, 0.7503, 0.5000)
Mg (0.7533, 0.5000, 0.0000)
Nb (0.5000, 0.5000, 0.5000)
Si (0.0000, 0.0000, 0.5000)
O (0.0000, 0.0000, 0.0000)
O (0.0000, 0.2590, 0.5000)
O (0.0000, 0.5000, 0.0000)
O (0.0000, 0.7410, 0.5000)
O (0.2384, 0.5000, 0.5000)
O (0.2499, 0.2499, 0.0000)
O (0.2499, 0.7501, 0.0000)
O (0.2590, 0.0000, 0.5000)
O (0.5000, 0.0000, 0.0000)
O (0.5000, 0.2384, 0.5000)
O (0.5000, 0.5000, 0.0000)
O (0.5000, 0.7616, 0.5000)
O (0.7410, 0.0000, 0.5000)
O (0.7501, 0.2499, 0.0000)
O (0.7501, 0.7501, 0.0000)
O (0.7616, 0.5000, 0.5000)

- Volume: 323.32 Å³ per cell
- Corrected total energy (MP2020 scheme): -6.397 eV per atom
- E above lowest polymorph: 0.00 eV/f.u.
- Space-group type: No. 123
- Size of the total moment: 0.0522 μB/atom



No. 2
Computed, not measured: a relaxed MgHg2Bi4O12 crystal at the PBE-GGA level of DFT.

Cell: 5.3358 5.3358 10.4176 Å, 90.00 90.00 90.00°
Sites, in units of the cell vectors:
Mg (0.0000, 0.0000, 0.0000)
Hg (0.0000, 0.5000, 0.2528)
Hg (0.5000, 0.0000, 0.7472)
Bi (0.0000, 0.5000, 0.5728)
Bi (0.0000, 0.5000, 0.8995)
Bi (0.5000, 0.0000, 0.1005)
Bi (0.5000, 0.0000, 0.4272)
O (0.1805, 0.3104, 0.7432)
O (0.1917, 0.2811, 0.0672)
O (0.2037, 0.2961, 0.4251)
O (0.2811, 0.8083, 0.9328)
O (0.2961, 0.7963, 0.5749)
O (0.3104, 0.8195, 0.2568)
O (0.6896, 0.1805, 0.2568)
O (0.7039, 0.2037, 0.5749)
O (0.7189, 0.1917, 0.9328)
O (0.7963, 0.7039, 0.4251)
O (0.8083, 0.7189, 0.0672)
O (0.8195, 0.6896, 0.7432)

- Volume: 296.60 Å³ per cell
- Corrected total energy (MP2020 scheme): -5.320 eV per atom
- E above lowest polymorph: 0.53 eV/f.u.
- Space-group type: No. 81
- Size of the total moment: 0.0000 μB/atom



No. 3
Computed, not measured: a relaxed ScTaP2SO12 crystal at the PBE-GGA level of DFT.

Cell: 8.8197 8.8329 22.7245 Å, 90.32 90.00 119.95°
Sites, in units of the cell vectors:
O (0.4682, 0.1535, 0.2393)
O (0.4843, 0.1263, 0.6359)
O (0.6305, 0.1364, 0.4276)
O (0.2008, 0.0253, 0.3045)
P (0.3821, 0.3368, 0.0843)
P (0.2880, 0.0035, 0.2510)
O (0.4663, 0.3153, 0.7396)
O (0.1823, 0.9820, 0.9063)
O (0.3009, 0.8308, 0.2593)
P (0.0008, 0.2859, 0.2508)
O (0.0317, 0.1953, 0.1951)
O (0.5059, 0.1364, 0.9276)
O (0.9753, 0.7929, 0.8026)
S (0.6703, 0.0482, 0.0834)
O (0.4674, 0.2993, 0.0283)
Ta (0.9933, 0.0053, 0.6435)
O (0.8392, 0.8030, 0.5943)
O (0.4969, 0.8620, 0.3618)
O (0.3087, 0.4596, 0.4692)
O (0.5157, 0.6487, 0.5730)
O (0.8015, 0.8201, 0.9060)
S (0.3779, 0.0482, 0.5834)
P (0.0488, 0.6701, 0.4176)
O (0.7904, 0.8264, 0.1971)
Ta (0.3266, 0.6719, 0.3102)
O (0.7996, 0.9820, 0.4063)
O (0.3650, 0.8620, 0.8618)
O (0.9748, 0.1754, 0.3044)
O (0.1636, 0.1953, 0.6951)
Sc (0.9990, 0.0024, 0.3562)
S (0.0036, 0.7148, 0.7501)
Sc (0.6656, 0.3357, 0.6895)
O (0.4912, 0.3586, 0.1378)
O (0.0196, 0.2067, 0.9083)
O (0.4980, 0.3642, 0.4256)
O (0.5341, 0.6919, 0.9712)
O (0.5299, 0.8308, 0.7593)
O (0.8538, 0.5400, 0.7416)
O (0.1349, 0.4868, 0.5726)
Sc (0.3367, 0.6690, 0.5229)
O (0.1330, 0.6487, 0.0730)
Ta (0.0120, 0.0053, 0.1435)
Sc (0.0034, 0.0024, 0.8562)
Sc (0.3323, 0.6690, 0.0229)
O (0.3519, 0.4868, 0.0726)
O (0.8490, 0.3153, 0.2396)
Ta (0.6600, 0.3386, 0.9768)
P (0.6184, 0.9525, 0.4175)
O (0.8632, 0.4975, 0.4260)
O (0.0186, 0.8201, 0.4060)
S (0.3369, 0.3815, 0.4167)
O (0.9638, 0.8030, 0.0943)
O (0.1341, 0.6327, 0.3616)
O (0.2006, 0.1754, 0.8044)
P (0.2850, 0.2859, 0.7508)
P (0.6214, 0.6701, 0.9176)
O (0.1647, 0.6975, 0.7590)
O (0.8662, 0.3642, 0.9256)
O (0.8303, 0.5287, 0.0285)
O (0.4571, 0.1598, 0.5305)
O (0.3081, 0.8421, 0.9711)
O (0.3694, 0.4931, 0.3638)
O (0.1578, 0.6919, 0.4712)
O (0.6853, 0.1535, 0.7393)
O (0.6984, 0.5287, 0.5285)
P (0.3342, 0.9525, 0.9175)
O (0.9676, 0.1641, 0.5927)
O (0.1238, 0.4931, 0.8638)
O (0.8008, 0.9660, 0.6949)
O (0.5328, 0.6975, 0.2590)
S (0.7112, 0.7148, 0.2501)
O (0.6415, 0.5087, 0.6378)
O (0.2972, 0.4697, 0.7609)
O (0.8245, 0.0253, 0.8045)
O (0.5339, 0.8421, 0.4711)
P (0.7154, 0.0035, 0.7510)
P (0.9547, 0.3368, 0.5843)
O (0.6863, 0.5400, 0.2416)
O (0.6342, 0.4975, 0.9260)
Ta (0.6786, 0.3386, 0.4768)
O (0.8176, 0.7929, 0.3026)
O (0.8313, 0.0308, 0.0923)
O (0.4986, 0.6327, 0.8616)
O (0.1652, 0.9660, 0.1949)
O (0.5204, 0.8734, 0.0749)
O (0.3529, 0.8734, 0.5749)
O (0.0360, 0.8264, 0.6971)
O (0.1725, 0.4697, 0.2609)
O (0.8674, 0.3586, 0.6378)
O (0.7027, 0.1598, 0.0305)
O (0.6420, 0.1263, 0.1359)
O (0.8319, 0.2993, 0.5283)
O (0.1871, 0.2067, 0.4083)
Ta (0.3453, 0.6719, 0.8102)
P (0.9517, 0.6192, 0.0842)
P (0.6675, 0.6192, 0.5842)
S (0.0446, 0.3815, 0.9167)
O (0.1966, 0.1641, 0.0927)
O (0.8673, 0.5087, 0.1378)
Sc (0.6701, 0.3357, 0.1895)
O (0.1509, 0.4596, 0.9692)
O (0.1995, 0.0308, 0.5923)

- Volume: 1533.87 Å³ per cell
- Corrected total energy (MP2020 scheme): -8.319 eV per atom
- Size of the total moment: 0.0000 μB/atom



No. 4
Computed, not measured: a relaxed Tl3Os crystal at the PBE-GGA level of DFT.

Cell: 6.2638 6.2638 5.4452 Å, 90.00 90.00 120.00°
Sites, in units of the cell vectors:
Tl (0.1719, 0.3438, 0.2500)
Tl (0.1719, 0.8281, 0.2500)
Tl (0.3438, 0.1719, 0.7500)
Tl (0.6562, 0.8281, 0.2500)
Tl (0.8281, 0.1719, 0.7500)
Tl (0.8281, 0.6562, 0.7500)
Os (0.3333, 0.6667, 0.7500)
Os (0.6667, 0.3333, 0.2500)

- Volume: 185.02 Å³ per cell
- Space-group type: No. 194
- Size of the total moment: 0.1229 μB/atom
- VASP energy: -28.8 eV per cell



No. 5
Computed, not measured: a relaxed KI crystal at the PBE-GGA level of DFT.

Cell: 4.3464 4.3464 4.3464 Å, 90.00 90.00 90.00°
Sites, in units of the cell vectors:
K (0.0000, 0.0000, 0.0000)
I (0.5000, 0.5000, 0.5000)

- Volume: 82.11 Å³ per cell
- Corrected total energy (MP2020 scheme): -2.928 eV per atom
- Space-group type: No. 221



No. 6
Computed, not measured: a relaxed SrMn7N10 crystal at the PBE-GGA level of DFT.

Cell: 6.9577 6.8378 10.0846 Å, 90.00 104.22 90.00°
Sites, in units of the cell vectors:
Sr (0.0000, 0.0345, 0.0000)
Sr (0.0000, 0.9655, 0.5000)
Mn (0.2032, 0.4050, 0.4603)
Mn (0.2032, 0.5950, 0.9603)
Mn (0.4098, 0.3882, 0.7799)
Mn (0.4098, 0.6118, 0.2799)
Mn (0.4613, 0.0202, 0.3963)
Mn (0.4613, 0.9798, 0.8963)
Mn (0.5737, 0.3753, 0.0758)
Mn (0.5737, 0.6247, 0.5758)
Mn (0.6470, 0.0083, 0.2166)
Mn (0.6470, 0.9917, 0.7166)
Mn (0.7844, 0.3860, 0.3585)
Mn (0.7844, 0.6140, 0.8585)
Mn (0.9691, 0.3488, 0.6968)
Mn (0.9691, 0.6512, 0.1968)
N (0.1794, 0.4098, 0.8309)
N (0.1794, 0.5902, 0.3309)
N (0.2715, 0.1731, 0.4119)
N (0.2715, 0.8269, 0.9119)
N (0.3646, 0.4944, 0.1153)
N (0.3646, 0.5056, 0.6153)
N (0.4507, 0.1404, 0.7496)
N (0.4507, 0.8596, 0.2496)
N (0.5512, 0.1153, 0.0509)
N (0.5512, 0.8847, 0.5509)
N (0.6255, 0.4573, 0.9185)
N (0.6255, 0.5427, 0.4185)
N (0.6626, 0.1602, 0.3657)
N (0.6626, 0.8398, 0.8657)
N (0.7999, 0.4599, 0.1850)
N (0.7999, 0.5401, 0.6850)
N (0.8652, 0.1215, 0.7253)
N (0.8652, 0.8785, 0.2253)
N (0.9802, 0.3657, 0.5185)
N (0.9802, 0.6343, 0.0185)

- Volume: 465.08 Å³ per cell
- Corrected total energy (MP2020 scheme): -8.727 eV per atom
- Space-group type: No. 7
- Size of the total moment: 0.0525 μB/atom



- Which formula does entry 4 have?
  Tl3Os